[1]
Computed, not measured: a relaxed NdPd3S4 crystal at the meta-GGA r2SCAN level of DFT.

Results
- Total energy: -277.8 eV/cell

Lattice parameters (Å, degrees): 6.733 6.733 6.733 90.00 90.00 90.00
Fractional coordinates of all 16 atoms:
Nd: 0.000 0.000 0.000
Nd: 0.500 0.500 0.500
Pd: 0.000 0.250 0.500
Pd: 0.000 0.750 0.500
Pd: 0.250 0.500 0.000
Pd: 0.500 0.000 0.250
Pd: 0.500 0.000 0.750
Pd: 0.750 0.500 0.000
S: 0.250 0.250 0.250
S: 0.250 0.250 0.750
S: 0.250 0.750 0.250
S: 0.250 0.750 0.750
S: 0.750 0.250 0.250
S: 0.750 0.250 0.750
S: 0.750 0.750 0.250
S: 0.750 0.750 0.750

[2]
Computed, not measured: a relaxed NdSb2Pd crystal at the meta-GGA r2SCAN level of DFT.

Results
- Total energy: -215.0 eV/cell

Lattice parameters (Å, degrees): 4.496 4.496 9.883 90.00 90.00 90.00
Fractional coordinates of all 8 atoms:
Nd: 0.250 0.250 0.249
Nd: 0.750 0.750 0.751
Sb: 0.250 0.250 0.851
Sb: 0.250 0.750 0.500
Sb: 0.750 0.250 0.500
Sb: 0.750 0.750 0.149
Pd: 0.250 0.750 0.000
Pd: 0.750 0.250 0.000

[3]
Computed, not measured: a relaxed Nd3Si6Pd20 crystal at the meta-GGA r2SCAN level of DFT.

Results
- Total energy: -623.6 eV/cell

Lattice parameters (Å, degrees): 8.710 8.710 8.710 60.00 60.00 60.00
Fractional coordinates of all 29 atoms:
Nd: 0.000 0.000 0.000
Nd: 0.250 0.250 0.250
Nd: 0.750 0.750 0.750
Si: 0.267 0.267 0.733
Si: 0.267 0.733 0.267
Si: 0.267 0.733 0.733
Si: 0.733 0.267 0.267
Si: 0.733 0.267 0.733
Si: 0.733 0.733 0.267
Pd: 0.000 0.000 0.347
Pd: 0.000 0.000 0.653
Pd: 0.000 0.347 0.000
Pd: 0.000 0.347 0.653
Pd: 0.000 0.653 0.000
Pd: 0.000 0.653 0.347
Pd: 0.156 0.615 0.615
Pd: 0.347 0.000 0.000
Pd: 0.347 0.000 0.653
Pd: 0.347 0.653 0.000
Pd: 0.385 0.385 0.385
Pd: 0.385 0.385 0.844
Pd: 0.385 0.844 0.385
Pd: 0.615 0.156 0.615
Pd: 0.615 0.615 0.156
Pd: 0.615 0.615 0.615
Pd: 0.653 0.000 0.000
Pd: 0.653 0.000 0.347
Pd: 0.653 0.347 0.000
Pd: 0.844 0.385 0.385

[4]
Computed, not measured: a relaxed NdSnPd crystal at the meta-GGA r2SCAN level of DFT.

Results
- Total energy: -320.1 eV/cell

Lattice parameters (Å, degrees): 7.509 4.704 7.997 90.00 90.00 90.00
Fractional coordinates of all 12 atoms:
Nd: 0.011 0.250 0.203
Nd: 0.489 0.750 0.703
Nd: 0.511 0.250 0.297
Nd: 0.989 0.750 0.797
Sn: 0.189 0.250 0.588
Sn: 0.311 0.750 0.088
Sn: 0.689 0.250 0.912
Sn: 0.811 0.750 0.412
Pd: 0.200 0.750 0.416
Pd: 0.300 0.250 0.916
Pd: 0.700 0.750 0.084
Pd: 0.800 0.250 0.584

[5]
Computed, not measured: a relaxed Nd3Sn5Pd5 crystal at the meta-GGA r2SCAN level of DFT.

Results
- Total energy: -675.3 eV/cell

Lattice parameters (Å, degrees): 9.078 9.078 14.339 98.93 98.93 29.19
Fractional coordinates of all 26 atoms:
Nd: 0.102 0.102 0.215
Nd: 0.136 0.136 0.586
Nd: 0.138 0.138 0.873
Nd: 0.862 0.862 0.127
Nd: 0.864 0.864 0.414
Nd: 0.898 0.898 0.785
Sn: 0.000 0.000 0.000
Sn: 0.297 0.297 0.260
Sn: 0.347 0.347 0.595
Sn: 0.350 0.350 0.948
Sn: 0.469 0.469 0.279
Sn: 0.500 0.500 0.500
Sn: 0.531 0.531 0.721
Sn: 0.650 0.650 0.052
Sn: 0.653 0.653 0.405
Sn: 0.703 0.703 0.740
Pd: 0.035 0.035 0.386
Pd: 0.237 0.237 0.428
Pd: 0.240 0.240 0.067
Pd: 0.284 0.284 0.760
Pd: 0.491 0.491 0.097
Pd: 0.509 0.509 0.903
Pd: 0.716 0.716 0.240
Pd: 0.760 0.760 0.933
Pd: 0.763 0.763 0.572
Pd: 0.965 0.965 0.614

[6]
Computed, not measured: a relaxed NdSnPd crystal at the meta-GGA r2SCAN level of DFT.

Results
- Total energy: -240.1 eV/cell

Lattice parameters (Å, degrees): 7.622 7.622 4.134 90.00 90.00 120.00
Fractional coordinates of all 9 atoms:
Nd: 0.000 0.589 0.000
Nd: 0.411 0.411 0.000
Nd: 0.589 0.000 0.000
Sn: 0.000 0.251 0.500
Sn: 0.251 0.000 0.500
Sn: 0.749 0.749 0.500
Pd: 0.000 0.000 0.000
Pd: 0.333 0.667 0.500
Pd: 0.667 0.333 0.500

[7]
Computed, not measured: a relaxed NdZnPd crystal at the meta-GGA r2SCAN level of DFT.

Results
- Total energy: -190.2 eV/cell

Lattice parameters (Å, degrees): 7.395 7.395 3.965 90.00 90.00 120.00
Fractional coordinates of all 9 atoms:
Nd: 0.000 0.592 0.000
Nd: 0.408 0.408 0.000
Nd: 0.592 0.000 0.000
Zn: 0.000 0.242 0.500
Zn: 0.242 0.000 0.500
Zn: 0.758 0.758 0.500
Pd: 0.000 0.000 0.000
Pd: 0.333 0.667 0.500
Pd: 0.667 0.333 0.500

[8]
Computed, not measured: a relaxed Pm3Nd crystal at the meta-GGA r2SCAN level of DFT.

Results
- Energy relative to the lowest polymorph listed for this composition: 0 meV/atom

Lattice parameters (Å, degrees): 6.340 6.340 6.340 131.70 131.70 70.70
Fractional coordinates of all 4 atoms:
Pm: 0.000 0.000 0.000
Pm: 0.250 0.750 0.500
Pm: 0.750 0.250 0.500
Nd: 0.500 0.500 0.000